Record 1
{
  "formula": "DyCuGe",
  "functional": "PBE",
  "state": "relaxed",
  "lattice": [[4.312, 0.000, 0.000], [-2.156, 3.734, 0.000], [0.000, 0.000, 7.426]],
  "species": ["Dy", "Dy", "Cu", "Cu", "Ge", "Ge"],
  "fractional_positions": [[0.000, 0.000, 0.238], [0.000, 0.000, 0.762], [0.333, 0.667, 0.993], [0.667, 0.333, 0.007], [0.333, 0.667, 0.530], [0.667, 0.333, 0.470]],
  "magnetic_moment_mub_per_fu": 0.00,
  "energy_ev_per_atom": -4.81,
  "spacegroup": "P-3m1 (164)"
}

---

Record 2
{
  "formula": "Dy2CuGe6",
  "functional": "PBE",
  "state": "relaxed",
  "lattice": [[4.079, 0.000, 0.000], [0.000, 2.026, 10.695], [0.000, -2.026, 10.695]],
  "species": ["Dy", "Dy", "Cu", "Ge", "Ge", "Ge", "Ge", "Ge", "Ge"],
  "fractional_positions": [[0.000, 0.000, 0.000], [0.000, 0.335, 0.335], [0.500, 0.780, 0.780], [0.000, 0.603, 0.603], [0.000, 0.719, 0.719], [0.500, 0.102, 0.102], [0.500, 0.220, 0.220], [0.500, 0.461, 0.461], [0.500, 0.889, 0.889]],
  "magnetic_moment_mub_per_fu": 0.00,
  "energy_ev_per_atom": -4.97,
  "spacegroup": "Amm2 (38)"
}